The following is a DFT calculation (PBE-GGA) of Sn2N2O after structural relaxation.

Results
Total DFT energy (no corrections) ... -249.01 eV per cell
DFT formation energy ... -0.435 eV/atom
V ... 13.4 Å³ per atom
Calculated density ... 7.0 g/cm3

Cell: 8.8481 8.8584 8.8702 Å, 109.60 109.55 109.30°
Closest atoms and distances in Å follow each position.
Atoms (fractional coordinates):
Sn (0.0111, 0.0038, 0.5121)  3 N 2.14-2.19, 3 O 2.16-2.22
Sn (0.7798, 0.0281, 0.7510)  4 N 2.09-2.20, 1 O 2.34
N (0.0363, 0.4953, 0.7669)  4 Sn 2.16-2.21
N (0.5056, 0.7718, 0.0455)  4 Sn 2.10-2.31
N (0.9585, 0.7430, 0.9990)  4 Sn 2.11-2.26
N (0.5436, 0.7747, 0.5382)  4 Sn 2.09-2.29
Sn (0.0259, 0.7431, 0.7747)  5 N 2.15-2.26, 1 O 2.39
N (0.2290, 0.4510, 0.4540)  4 Sn 2.09-2.29
Sn (0.5038, 0.5087, 0.5086)  4 N 2.14-2.17, 2 O 2.27-2.32
N (0.5446, 0.5320, 0.7686)  4 Sn 2.14-2.27
N (0.9946, 0.9603, 0.7367)  4 Sn 2.15-2.20
Sn (0.4669, 0.2495, 0.7236)  5 N 2.16-2.24, 1 O 2.40
N (0.7425, 0.0075, 0.9673)  4 Sn 2.11-2.20
O (0.7339, 0.2172, 0.2794)  4 Sn 2.12-2.33
Sn (0.7580, 0.2909, 0.5427)  3 O 2.12-2.29, 3 N 2.16-2.19
N (0.7592, 0.5314, 0.5224)  4 Sn 2.15-2.20
O (0.0572, 0.2807, 0.0131)  4 Sn 2.12-2.34
N (0.2657, 0.7257, 0.2221)  4 Sn 2.09-2.23
O (0.2803, 0.0138, 0.0571)  4 Sn 2.14-2.39
N (0.7227, 0.2541, 0.7612)  4 Sn 2.16-2.25
Sn (0.7166, 0.4636, 0.2496)  3 N 2.09-2.17, 3 O 2.15-2.33
N (0.2357, 0.9649, 0.5040)  4 Sn 2.15-2.23
Sn (0.4994, 0.9939, 0.9915)  4 N 2.15-2.20, 2 O 2.25-2.26
Sn (0.2502, 0.2167, 0.9581)  3 O 2.12-2.30, 3 N 2.16-2.18
Sn (0.2823, 0.5327, 0.7484)  6 N 2.13-2.31
Sn (0.7449, 0.7850, 0.0228)  4 N 2.11-2.19, 1 O 2.28
Sn (0.9928, 0.5046, 0.9969)  5 N 2.16-2.25, 1 O 2.27
O (0.7722, 0.0405, 0.4866)  4 Sn 2.16-2.36
Sn (0.9694, 0.2557, 0.2187)  3 N 2.09-2.18, 3 O 2.18-2.27
Sn (0.5260, 0.7524, 0.2804)  3 N 2.09-2.17, 3 O 2.22-2.27
Sn (0.2163, 0.9545, 0.2504)  2 O 2.12-2.14, 3 N 2.16-2.17
O (0.4558, 0.2197, 0.4402)  3 Sn 2.12-2.29
Sn (0.2481, 0.7137, 0.4633)  6 N 2.17-2.29
N (0.2277, 0.2745, 0.7364)  4 Sn 2.13-2.24
N (0.2644, 0.7726, 0.7276)  4 Sn 2.15-2.25
N (0.5069, 0.2338, 0.9742)  4 Sn 2.16-2.19
O (0.4490, 0.4645, 0.2183)  4 Sn 2.14-2.32
N (0.9515, 0.4976, 0.2270)  4 Sn 2.09-2.29
O (0.9973, 0.0455, 0.2827)  4 Sn 2.16-2.40
O (0.7744, 0.7309, 0.2787)  3 Sn 2.15-2.27

The following is a DFT calculation (PBE-GGA) of Sn2N2O after structural relaxation.

Results
Total DFT energy (no corrections) ... -249.21 eV per cell
DFT formation energy ... -0.440 eV/atom
V ... 13.3 Å³ per atom
Calculated density ... 7.0 g/cm3

Cell: 8.8373 8.8418 8.8510 Å, 109.46 109.56 109.28°
Closest atoms and distances in Å follow each position.
Atoms (fractional coordinates):
N (0.7617, 0.4959, 0.0369)  4 Sn 2.13-2.21
Sn (0.9734, 0.2232, 0.2575)  5 N 2.11-2.24
Sn (0.2096, 0.2397, 0.9737)  4 N 2.09-2.19
N (0.7834, 0.2751, 0.7320)  4 Sn 2.12-2.21
N (0.7754, 0.5486, 0.5432)  4 Sn 2.11-2.23
O (0.5380, 0.5494, 0.7769)  4 Sn 2.16-2.32
O (0.7168, 0.9384, 0.9814)  3 Sn 2.11-2.32
O (0.5105, 0.9572, 0.2320)  4 Sn 2.13-2.37
N (0.0011, 0.2651, 0.0453)  4 Sn 2.11-2.19
Sn (0.2867, 0.7516, 0.5355)  2 O 2.13-2.30, 4 N 2.18-2.24
N (0.2361, 0.7354, 0.2701)  4 Sn 2.16-2.22
Sn (0.4947, 0.0039, 0.9962)  4 N 2.15-2.19, 2 O 2.23-2.25
N (0.2397, 0.4703, 0.4607)  4 Sn 2.13-2.20
O (0.5562, 0.7752, 0.5424)  4 Sn 2.14-2.30
Sn (0.9954, 0.4958, 0.0086)  4 N 2.16-2.20, 2 O 2.21-2.28
N (0.7224, 0.7715, 0.2697)  4 Sn 2.09-2.24
N (0.2656, 0.0353, 0.0131)  4 Sn 2.13-2.21
N (0.2625, 0.7294, 0.7717)  4 Sn 2.11-2.24
N (0.9626, 0.9971, 0.7259)  4 Sn 2.14-2.23
Sn (0.7812, 0.7492, 0.0444)  3 O 2.11-2.27, 3 N 2.17-2.19
Sn (0.7282, 0.2649, 0.4749)  5 N 2.12-2.24, 1 O 2.37
N (0.7295, 0.2638, 0.2246)  4 Sn 2.15-2.24
N (0.4514, 0.4534, 0.2203)  4 Sn 2.09-2.21
Sn (0.4946, 0.4885, 0.4882)  4 N 2.13-2.20, 2 O 2.25-2.29
O (0.2320, 0.5039, 0.9551)  4 Sn 2.13-2.34
Sn (0.4640, 0.7114, 0.2469)  3 N 2.09-2.18, 3 O 2.13-2.26
Sn (0.9869, 0.0012, 0.4947)  4 N 2.14-2.21, 2 O 2.23-2.36
Sn (0.2518, 0.9721, 0.2261)  4 N 2.11-2.22, 2 O 2.32-2.36
O (0.2843, 0.2399, 0.7428)  4 Sn 2.16-2.36
O (0.9845, 0.7180, 0.9503)  4 Sn 2.15-2.36
O (0.0433, 0.7712, 0.4873)  4 Sn 2.13-2.37
N (0.4967, 0.0333, 0.7604)  4 Sn 2.13-2.21
Sn (0.5418, 0.2804, 0.7498)  4 N 2.13-2.21, 2 O 2.16-2.32
N (0.4621, 0.2281, 0.4667)  4 Sn 2.11-2.24
Sn (0.7565, 0.0428, 0.7814)  2 O 2.14-2.32, 4 N 2.16-2.21
Sn (0.0335, 0.7843, 0.7523)  4 N 2.11-2.23, 2 O 2.15-2.34
Sn (0.7354, 0.5245, 0.2747)  5 N 2.13-2.24, 1 O 2.37
Sn (0.2440, 0.4696, 0.7097)  3 N 2.11-2.19, 3 O 2.13-2.27
N (0.9693, 0.2410, 0.5103)  4 Sn 2.14-2.20
N (0.0372, 0.0004, 0.2665)  4 Sn 2.12-2.24

The following is a DFT calculation (PBE-GGA) of Sn2N2O after structural relaxation.

Results
Total DFT energy (no corrections) ... -249.13 eV per cell
DFT formation energy ... -0.438 eV/atom
V ... 13.3 Å³ per atom
Calculated density ... 7.0 g/cm3

Cell: 8.8171 8.8198 8.8658 Å, 109.44 109.42 109.15°
Closest atoms and distances in Å follow each position.
Atoms (fractional coordinates):
N (0.4565, 0.7269, 0.5090)  4 Sn 2.13-2.24
O (0.7147, 0.2118, 0.2619)  3 Sn 2.14-2.25
Sn (0.7371, 0.9535, 0.7037)  3 O 2.12-2.28, 3 N 2.16-2.18
O (0.0381, 0.0540, 0.7747)  4 Sn 2.18-2.29
N (0.9959, 0.4505, 0.2309)  3 Sn 2.07-2.19
Sn (0.2442, 0.5280, 0.7797)  3 N 2.10-2.16, 2 O 2.12-2.31
N (0.7243, 0.9598, 0.4559)  4 Sn 2.15-2.21
N (0.5465, 0.2720, 0.5035)  4 Sn 2.10-2.30
Sn (0.9730, 0.2227, 0.2605)  3 N 2.07-2.18, 2 O 2.14-2.25
Sn (0.4636, 0.7136, 0.2547)  5 N 2.15-2.24, 1 O 2.27
N (0.7698, 0.5394, 0.9942)  4 Sn 2.10-2.21
Sn (0.2529, 0.0311, 0.2863)  5 N 2.12-2.30, 1 O 2.31
Sn (0.2961, 0.2560, 0.0319)  4 N 2.16-2.20, 2 O 2.18-2.37
Sn (0.5154, 0.5051, 0.5007)  4 N 2.14-2.20, 2 O 2.19-2.28
Sn (0.4885, 0.9963, 0.9903)  3 N 2.13-2.20, 3 O 2.16-2.23
Sn (0.7512, 0.4737, 0.2098)  5 N 2.13-2.22
N (0.2654, 0.7553, 0.7341)  4 Sn 2.14-2.22
N (0.5021, 0.2271, 0.9555)  4 Sn 2.11-2.22
N (0.9567, 0.7307, 0.4655)  4 Sn 2.17-2.23
Sn (0.7775, 0.2390, 0.5275)  3 N 2.10-2.17, 3 O 2.14-2.28
Sn (0.2140, 0.7485, 0.4690)  6 N 2.13-2.31
Sn (0.5317, 0.2814, 0.7489)  4 N 2.11-2.20, 2 O 2.27-2.31
N (0.2615, 0.0030, 0.0400)  4 Sn 2.14-2.24
Sn (0.7316, 0.7540, 0.9690)  3 N 2.09-2.16, 3 O 2.21-2.30
N (0.2714, 0.0435, 0.5457)  4 Sn 2.12-2.28
N (0.2318, 0.4593, 0.9888)  4 Sn 2.16-2.24
N (0.7798, 0.7384, 0.7421)  4 Sn 2.11-2.20
Sn (0.9964, 0.9969, 0.4915)  5 N 2.17-2.25, 1 O 2.26
N (0.0377, 0.2773, 0.5388)  4 Sn 2.10-2.25
Sn (0.0349, 0.7861, 0.7523)  4 N 2.11-2.24, 2 O 2.19-2.29
O (0.9790, 0.5314, 0.7660)  4 Sn 2.19-2.31
O (0.2371, 0.2851, 0.2795)  4 Sn 2.14-2.37
Sn (0.0066, 0.5035, 0.0102)  4 N 2.14-2.20, 2 O 2.20-2.25
O (0.5225, 0.7771, 0.0462)  4 Sn 2.21-2.36
N (0.9633, 0.9671, 0.2222)  4 Sn 2.09-2.24
N (0.2339, 0.7703, 0.2278)  4 Sn 2.12-2.27
N (0.5450, 0.5029, 0.2701)  4 Sn 2.13-2.23
O (0.7236, 0.0061, 0.9534)  4 Sn 2.16-2.39
O (0.4549, 0.4986, 0.7304)  4 Sn 2.12-2.30
O (0.7738, 0.2226, 0.7776)  4 Sn 2.12-2.31

The following is a DFT calculation (PBE-GGA) of Sn2N2O after structural relaxation.

Results
Total DFT energy (no corrections) ... -250.12 eV per cell
DFT formation energy ... -0.463 eV/atom
V ... 14.3 Å³ per atom
Calculated density ... 6.6 g/cm3

Cell: 6.4546 6.4546 15.8093 Å, 90.00 90.00 120.00°
Closest atoms and distances in Å follow each position.
Atoms (fractional coordinates):
Sn (0.6667, 0.3333, 0.9551)  4 N 2.11
N (0.8453, 0.6905, 0.9127)  4 Sn 2.11-2.21
Sn (0.1681, 0.3362, 0.8348)  2 O 2.12, 4 N 2.19-2.21
Sn (0.3333, 0.6667, 0.0449)  4 N 2.11
Sn (0.3333, 0.6667, 0.6686)  3 O 2.13, 3 N 2.20
O (0.4768, 0.9536, 0.7575)  3 Sn 2.12-2.13
Sn (0.6667, 0.3333, 0.3314)  3 O 2.13, 3 N 2.20
Sn (0.3362, 0.1681, 0.1652)  2 O 2.12, 4 N 2.19-2.21
O (0.4768, 0.5232, 0.7575)  3 Sn 2.12-2.13
O (0.9536, 0.4768, 0.2425)  3 Sn 2.12-2.13
N (0.3570, 0.1785, 0.4176)  4 Sn 2.13-2.22
O (0.0464, 0.5232, 0.7575)  3 Sn 2.12-2.13
Sn (0.0000, 0.0000, 0.6287)  4 N 2.10-2.13
Sn (0.0000, 0.0000, 0.3713)  4 N 2.10-2.13
N (0.3095, 0.1547, 0.9127)  4 Sn 2.11-2.21
N (0.1785, 0.8215, 0.5824)  4 Sn 2.13-2.22
N (0.1785, 0.3570, 0.5824)  4 Sn 2.13-2.22
Sn (0.1681, 0.8319, 0.8348)  2 O 2.12, 4 N 2.19-2.21
O (0.6667, 0.3333, 0.5637)  3 Sn 2.12
Sn (0.5000, 0.5000, 0.5000)  2 O 2.12, 4 N 2.22
Sn (0.8319, 0.1681, 0.1652)  2 O 2.12, 4 N 2.19-2.21
N (0.8215, 0.6430, 0.4176)  4 Sn 2.13-2.22
N (0.8215, 0.1785, 0.4176)  4 Sn 2.13-2.22
Sn (0.6638, 0.8319, 0.8348)  2 O 2.12, 4 N 2.19-2.21
O (0.5232, 0.0464, 0.2425)  3 Sn 2.12-2.13
N (0.0000, 0.0000, 0.7614)  4 Sn 2.10-2.21
O (0.5232, 0.4768, 0.2425)  3 Sn 2.12-2.13
N (0.1547, 0.8453, 0.0873)  4 Sn 2.11-2.21
N (0.0000, 0.0000, 0.2386)  4 Sn 2.10-2.21
Sn (0.8319, 0.6638, 0.1652)  2 O 2.12, 4 N 2.19-2.21
Sn (0.5000, 0.0000, 0.5000)  2 O 2.12, 4 N 2.22
N (0.6430, 0.8215, 0.5824)  4 Sn 2.13-2.22
N (0.1547, 0.3095, 0.0873)  4 Sn 2.11-2.21
O (0.3333, 0.6667, 0.4363)  3 Sn 2.12
N (0.8453, 0.1547, 0.9127)  4 Sn 2.11-2.21
N (0.6905, 0.8453, 0.0873)  4 Sn 2.11-2.21
N (0.3333, 0.6667, 0.9114)  4 Sn 2.11-2.21
Sn (0.0000, 0.0000, 0.0000)  6 N 2.21
N (0.6667, 0.3333, 0.0886)  4 Sn 2.11-2.21
Sn (0.0000, 0.5000, 0.5000)  2 O 2.12, 4 N 2.22